Record 1
Material: Na8Mg3Si3SnS3O24
Method: DFT, PBE-GGA
State: optimized geometry

The density is 2922 kg/m³. The value obtained for the formation energy is -2.47 eV per atom. The magnetization is 0.00 μB/cell. As for the volume: 12.720 Å³ per atom.

Unit cell a=9.118 b=9.123 c=22.228 alpha=90.16 beta=90.40 gamma=119.90
Space group P1 (No. 1)
Inequivalent atoms, fractional coordinates:
Na1 0.000 0.000 0.000 [1 per cell]
Na2 0.002 0.047 0.339 [1 per cell]
Na3 0.031 0.372 0.493 [1 per cell]
Na4 0.262 0.983 0.497 [1 per cell]
Na5 0.275 0.616 0.991 [1 per cell]
Na6 0.294 0.322 0.417 [1 per cell]
Na7 0.313 0.704 0.669 [1 per cell]
Na8 0.324 0.353 0.918 [1 per cell]
Na9 0.328 0.657 0.338 [1 per cell]
Na10 0.331 0.984 0.168 [1 per cell]
Na11 0.349 0.029 0.831 [1 per cell]
Na12 0.603 0.644 0.843 [1 per cell]
Na13 0.607 0.291 0.324 [1 per cell]
Na14 0.638 0.999 0.755 [1 per cell]
Na15 0.646 0.017 0.248 [1 per cell]
Na16 0.648 0.647 0.502 [1 per cell]
Na17 0.662 0.385 0.000 [1 per cell]
Na18 0.670 0.684 0.151 [1 per cell]
Na19 0.684 0.336 0.675 [1 per cell]
Na20 0.929 0.321 0.158 [1 per cell]
Na21 0.945 0.964 0.661 [1 per cell]
Na22 0.961 0.648 0.074 [1 per cell]
Na23 0.987 0.324 0.840 [1 per cell]
Na24 0.993 0.678 0.576 [1 per cell]
Mg1 0.000 0.674 0.436 [1 per cell]
Mg2 0.306 0.332 0.562 [1 per cell]
Mg3 0.314 0.321 0.269 [1 per cell]
Mg4 0.319 0.340 0.772 [1 per cell]
Mg5 0.332 0.348 0.061 [1 per cell]
Mg6 0.648 0.991 0.594 [1 per cell]
Mg7 0.655 0.010 0.096 [1 per cell]
Mg8 0.970 0.643 0.934 [1 per cell]
Mg9 0.983 0.653 0.745 [1 per cell]
Si1 0.276 0.962 0.335 [1 per cell]
Si2 0.278 0.668 0.833 [1 per cell]
Si3 0.351 0.702 0.503 [1 per cell]
Si4 0.608 0.330 0.168 [1 per cell]
Si5 0.652 0.706 0.003 [1 per cell]
Si6 0.680 0.366 0.832 [1 per cell]
Si7 0.945 0.994 0.503 [1 per cell]
Si8 0.950 0.297 0.003 [1 per cell]
Si9 0.981 0.365 0.337 [1 per cell]
Sn1 0.647 0.999 0.401 [1 per cell]
Sn2 0.649 0.000 0.901 [1 per cell]
Sn3 0.981 0.653 0.236 [1 per cell]
S1 0.019 0.331 0.666 [1 per cell]
S2 0.021 0.036 0.168 [1 per cell]
S3 0.314 0.042 0.666 [1 per cell]
S4 0.314 0.624 0.168 [1 per cell]
S5 0.350 0.998 0.002 [1 per cell]
S6 0.609 0.626 0.667 [1 per cell]
S7 0.646 0.294 0.503 [1 per cell]
S8 0.687 0.665 0.334 [1 per cell]
S9 0.983 0.958 0.831 [1 per cell]
O1 0.002 0.482 0.394 [1 per cell]
O2 0.004 0.487 0.670 [1 per cell]
O3 0.006 0.862 0.174 [1 per cell]
O4 0.009 0.883 0.886 [1 per cell]
O5 0.099 0.305 0.720 [1 per cell]
O6 0.101 0.140 0.223 [1 per cell]
O7 0.122 0.112 0.114 [1 per cell]
O8 0.123 0.352 0.612 [1 per cell]
O9 0.131 0.129 0.824 [1 per cell]
O10 0.133 0.303 0.007 [1 per cell]
O11 0.135 0.161 0.505 [1 per cell]
O12 0.151 0.352 0.327 [1 per cell]
O13 0.154 0.875 0.391 [1 per cell]
O14 0.157 0.645 0.170 [1 per cell]
O15 0.160 0.870 0.668 [1 per cell]
O16 0.162 0.675 0.498 [1 per cell]
O17 0.164 0.646 0.891 [1 per cell]
O18 0.182 0.848 0.994 [1 per cell]
O19 0.195 0.841 0.272 [1 per cell]
O20 0.210 0.714 0.771 [1 per cell]
O21 0.286 0.519 0.114 [1 per cell]
O22 0.295 0.497 0.827 [1 per cell]
O23 0.297 0.126 0.611 [1 per cell]
O24 0.304 0.151 0.329 [1 per cell]
O25 0.332 0.144 0.720 [1 per cell]
O26 0.333 0.150 0.008 [1 per cell]
O27 0.333 0.546 0.223 [1 per cell]
O28 0.345 0.519 0.505 [1 per cell]
O29 0.431 0.969 0.055 [1 per cell]
O30 0.437 0.827 0.560 [1 per cell]
O31 0.458 0.032 0.946 [1 per cell]
O32 0.464 0.797 0.163 [1 per cell]
O33 0.465 0.972 0.338 [1 per cell]
O34 0.471 0.026 0.663 [1 per cell]
O35 0.473 0.786 0.441 [1 per cell]
O36 0.475 0.840 0.838 [1 per cell]
O37 0.484 0.518 0.002 [1 per cell]
O38 0.486 0.329 0.825 [1 per cell]
O39 0.493 0.309 0.509 [1 per cell]
O40 0.502 0.311 0.229 [1 per cell]
O41 0.505 0.543 0.720 [1 per cell]
O42 0.518 0.519 0.326 [1 per cell]
O43 0.527 0.368 0.109 [1 per cell]
O44 0.530 0.521 0.612 [1 per cell]
O45 0.611 0.187 0.446 [1 per cell]
O46 0.612 0.790 0.941 [1 per cell]
O47 0.625 0.798 0.663 [1 per cell]
O48 0.631 0.162 0.164 [1 per cell]
O49 0.670 0.176 0.839 [1 per cell]
O50 0.672 0.820 0.062 [1 per cell]
O51 0.674 0.823 0.337 [1 per cell]
O52 0.676 0.212 0.555 [1 per cell]
O53 0.764 0.488 0.890 [1 per cell]
O54 0.768 0.640 0.387 [1 per cell]
O55 0.784 0.649 0.672 [1 per cell]
O56 0.794 0.438 0.771 [1 per cell]
O57 0.795 0.698 0.278 [1 per cell]
O58 0.796 0.462 0.495 [1 per cell]
O59 0.806 0.172 0.338 [1 per cell]
O60 0.807 0.515 0.171 [1 per cell]
O61 0.826 0.974 0.834 [1 per cell]
O62 0.827 0.213 0.060 [1 per cell]
O63 0.828 0.701 0.995 [1 per cell]
O64 0.831 0.970 0.561 [1 per cell]
O65 0.845 0.179 0.661 [1 per cell]
O66 0.847 0.011 0.164 [1 per cell]
O67 0.862 0.039 0.442 [1 per cell]
O68 0.864 0.175 0.941 [1 per cell]
O69 0.933 0.437 0.274 [1 per cell]
O70 0.948 0.818 0.495 [1 per cell]
O71 0.956 0.852 0.776 [1 per cell]
O72 0.974 0.485 0.997 [1 per cell]


Record 2
Material: TlCuO2
Method: DFT, PBE-GGA
State: optimized geometry

The density is 6203 kg/m³. The value obtained for the formation energy is -0.95 eV per atom. The magnetization is 0.00 μB/cell. As for the volume: 20.073 Å³ per atom.

Unit cell a=5.675 b=5.486 c=5.860 alpha=90.00 beta=118.33 gamma=90.00
Space group P2_1/m (No. 11)
Inequivalent atoms, fractional coordinates:
Tl1 0.195 0.250 0.359 [2 per cell]
Cu1 0.488 0.750 0.995 [2 per cell]
O1 0.500 0.000 0.213 [4 per cell]


Record 3
Material: YNi2
Method: DFT, PBE-GGA
State: optimized geometry

The density is 7420 kg/m³. The value obtained for the formation energy is -0.42 eV per atom. As for the volume: 15.390 Å³ per atom.

Unit cell a=7.175 b=7.175 c=7.175 alpha=90.00 beta=90.00 gamma=90.00
Space group Fd-3m (No. 227, origin choice 2)
Inequivalent atoms, fractional coordinates:
Y1 0.125 0.125 0.125 [8 per cell]
Ni1 0.000 0.000 0.500 [16 per cell]


Record 4
Material: Na3Y2Al2P3S3O24
Method: DFT, PBE-GGA
State: optimized geometry

The density is 2844 kg/m³. The value obtained for the formation energy is -2.75 eV per atom. The magnetization is 0.00 μB/cell. As for the volume: 13.789 Å³ per atom.

Unit cell a=8.793 b=8.799 c=22.838 alpha=89.86 beta=88.73 gamma=60.05
Space group P1 (No. 1)
Inequivalent atoms, fractional coordinates:
Na1 0.000 0.000 0.000 [1 per cell]
Na2 0.003 0.298 0.493 [1 per cell]
Na3 0.331 0.612 0.163 [1 per cell]
Na4 0.349 0.968 0.925 [1 per cell]
Na5 0.355 0.969 0.407 [1 per cell]
Na6 0.645 0.325 0.576 [1 per cell]
Na7 0.664 0.312 0.083 [1 per cell]
Na8 0.966 0.641 0.240 [1 per cell]
Na9 0.994 0.648 0.749 [1 per cell]
Y1 0.002 0.628 0.592 [1 per cell]
Y2 0.311 0.987 0.774 [1 per cell]
Y3 0.340 0.975 0.559 [1 per cell]
Y4 0.678 0.306 0.730 [1 per cell]
Y5 0.989 0.657 0.907 [1 per cell]
Y6 0.998 0.640 0.384 [1 per cell]
Al1 0.323 0.974 0.260 [1 per cell]
Al2 0.341 0.960 0.072 [1 per cell]
Al3 0.647 0.309 0.940 [1 per cell]
Al4 0.670 0.311 0.423 [1 per cell]
Al5 0.693 0.309 0.226 [1 per cell]
Al6 0.976 0.678 0.099 [1 per cell]
P1 0.029 0.287 0.661 [1 per cell]
P2 0.042 0.978 0.164 [1 per cell]
P3 0.299 0.645 0.007 [1 per cell]
P4 0.318 0.345 0.488 [1 per cell]
P5 0.623 0.692 0.166 [1 per cell]
P6 0.682 0.954 0.006 [1 per cell]
P7 0.693 0.629 0.489 [1 per cell]
P8 0.949 0.028 0.844 [1 per cell]
P9 0.966 0.284 0.324 [1 per cell]
S1 0.000 0.345 0.006 [1 per cell]
S2 0.324 0.677 0.666 [1 per cell]
S3 0.328 0.263 0.167 [1 per cell]
S4 0.376 0.309 0.840 [1 per cell]
S5 0.400 0.599 0.322 [1 per cell]
S6 0.636 0.973 0.666 [1 per cell]
S7 0.648 0.046 0.322 [1 per cell]
S8 0.661 0.599 0.842 [1 per cell]
S9 0.982 0.957 0.491 [1 per cell]
O1 0.013 0.468 0.667 [1 per cell]
O2 0.013 0.844 0.441 [1 per cell]
O3 0.022 0.811 0.155 [1 per cell]
O4 0.033 0.407 0.950 [1 per cell]
O5 0.119 0.203 0.602 [1 per cell]
O6 0.128 0.007 0.108 [1 per cell]
O7 0.130 0.016 0.847 [1 per cell]
O8 0.133 0.176 0.714 [1 per cell]
O9 0.133 0.989 0.495 [1 per cell]
O10 0.148 0.115 0.316 [1 per cell]
O11 0.153 0.166 0.015 [1 per cell]
O12 0.160 0.672 0.666 [1 per cell]
O13 0.168 0.934 0.216 [1 per cell]
O14 0.170 0.442 0.162 [1 per cell]
O15 0.177 0.699 0.954 [1 per cell]
O16 0.181 0.443 0.442 [1 per cell]
O17 0.196 0.459 0.842 [1 per cell]
O18 0.203 0.615 0.061 [1 per cell]
O19 0.221 0.623 0.326 [1 per cell]
O20 0.251 0.444 0.548 [1 per cell]
O21 0.305 0.180 0.221 [1 per cell]
O22 0.322 0.807 0.017 [1 per cell]
O23 0.326 0.768 0.720 [1 per cell]
O24 0.332 0.162 0.492 [1 per cell]
O25 0.338 0.765 0.613 [1 per cell]
O26 0.350 0.152 0.115 [1 per cell]
O27 0.374 0.141 0.842 [1 per cell]
O28 0.386 0.774 0.318 [1 per cell]
O29 0.455 0.319 0.784 [1 per cell]
O30 0.475 0.313 0.891 [1 per cell]
O31 0.477 0.496 0.665 [1 per cell]
O32 0.479 0.479 0.994 [1 per cell]
O33 0.484 0.492 0.268 [1 per cell]
O34 0.485 0.288 0.170 [1 per cell]
O35 0.490 0.028 0.321 [1 per cell]
O36 0.496 0.768 0.115 [1 per cell]
O37 0.497 0.325 0.474 [1 per cell]
O38 0.502 0.513 0.375 [1 per cell]
O39 0.502 0.776 0.844 [1 per cell]
O40 0.503 0.976 0.023 [1 per cell]
O41 0.504 0.778 0.493 [1 per cell]
O42 0.536 0.812 0.221 [1 per cell]
O43 0.544 0.967 0.720 [1 per cell]
O44 0.546 0.968 0.613 [1 per cell]
O45 0.637 0.146 0.376 [1 per cell]
O46 0.643 0.137 0.663 [1 per cell]
O47 0.647 0.502 0.175 [1 per cell]
O48 0.655 0.495 0.892 [1 per cell]
O49 0.661 0.136 0.269 [1 per cell]
O50 0.663 0.519 0.785 [1 per cell]
O51 0.671 0.136 0.997 [1 per cell]
O52 0.697 0.453 0.478 [1 per cell]
O53 0.741 0.847 0.949 [1 per cell]
O54 0.784 0.666 0.437 [1 per cell]
O55 0.801 0.597 0.545 [1 per cell]
O56 0.805 0.676 0.152 [1 per cell]
O57 0.809 0.869 0.324 [1 per cell]
O58 0.816 0.821 0.665 [1 per cell]
O59 0.821 0.130 0.484 [1 per cell]
O60 0.821 0.612 0.842 [1 per cell]
O61 0.828 0.858 0.052 [1 per cell]
O62 0.839 0.133 0.899 [1 per cell]
O63 0.840 0.325 0.002 [1 per cell]
O64 0.845 0.306 0.659 [1 per cell]
O65 0.848 0.312 0.273 [1 per cell]
O66 0.857 0.141 0.173 [1 per cell]
O67 0.862 0.115 0.787 [1 per cell]
O68 0.878 0.268 0.382 [1 per cell]
O69 0.962 0.881 0.547 [1 per cell]
O70 0.973 0.469 0.055 [1 per cell]
O71 0.973 0.843 0.841 [1 per cell]
O72 0.989 0.447 0.326 [1 per cell]


Record 5
Material: RbBr
Method: DFT, PBE-GGA
State: optimized geometry

The density is 3164 kg/m³. The value obtained for the formation energy is -2.03 eV per atom. As for the volume: 43.390 Å³ per atom.

Unit cell a=7.028 b=7.028 c=7.028 alpha=90.00 beta=90.00 gamma=90.00
Space group Fm-3m (No. 225)
Inequivalent atoms, fractional coordinates:
Rb1 0.000 0.000 0.000 [4 per cell]
Br1 0.000 0.000 0.500 [4 per cell]


Record 6
Material: Ti2IrW
Method: DFT, PBE-GGA
State: optimized geometry

The density is 12739 kg/m³. The value obtained for the formation energy is -0.51 eV per atom. As for the volume: 15.374 Å³ per atom.

Unit cell a=6.266 b=6.266 c=6.266 alpha=90.00 beta=90.00 gamma=90.00
Space group Fm-3m (No. 225)
Inequivalent atoms, fractional coordinates:
Ti1 0.250 0.250 0.250 [8 per cell]
Ir1 0.000 0.000 0.000 [4 per cell]
W1 0.000 0.000 0.500 [4 per cell]


Record 7
Material: Zr9Ni11
Method: DFT, PBE-GGA
State: optimized geometry

The density is 7533 kg/m³. The value obtained for the formation energy is -0.38 eV per atom. The magnetization is 0.00 μB/cell. As for the volume: 16.166 Å³ per atom.

Unit cell a=9.993 b=9.993 c=6.475 alpha=90.00 beta=90.00 gamma=90.00
Space group I4/m (No. 87)
Inequivalent atoms, fractional coordinates:
Zr1 0.000 0.000 0.000 [2 per cell]
Zr2 0.085 0.252 0.500 [8 per cell]
Zr3 0.091 0.311 0.000 [8 per cell]
Ni1 0.000 0.000 0.500 [2 per cell]
Ni2 0.000 0.500 0.250 [4 per cell]
Ni3 0.119 0.776 0.206 [16 per cell]


Record 8
Material: KSmPdO3
Method: DFT, PBE-GGA
State: optimized geometry

The density is 5992 kg/m³. The value obtained for the formation energy is -2.30 eV per atom. The magnetization is 0.00 μB/cell. As for the volume: 15.883 Å³ per atom.

Unit cell a=13.244 b=3.949 c=7.535 alpha=90.00 beta=104.70 gamma=90.00
Space group C2/m (No. 12)
Inequivalent atoms, fractional coordinates:
K1 0.144 0.000 0.065 [4 per cell]
Sm1 0.150 0.000 0.577 [4 per cell]
Pd1 0.007 0.500 0.273 [4 per cell]
O1 0.006 0.000 0.315 [4 per cell]
O2 0.153 0.500 0.774 [4 per cell]
O3 0.170 0.500 0.369 [4 per cell]


Record 9
Material: La2GeI2
Method: DFT, PBE-GGA
State: optimized geometry

The density is 5249 kg/m³. The value obtained for the formation energy is -1.44 eV per atom. As for the volume: 38.232 Å³ per atom.

Unit cell a=4.4979 b=4.4979 c=32.7321 alpha=90.00 beta=90.00 gamma=120.00
Space group R-3m (No. 166, hexagonal axes)
Inequivalent atoms, fractional coordinates:
La1 0.0000 0.0000 0.1150 [6 per cell]
Ge1 0.0000 0.0000 0.5000 [3 per cell]
I1 0.0000 0.0000 0.2814 [6 per cell]


Record 10
Material: RbInBr3
Method: DFT, PBE-GGA
State: optimized geometry

The density is 3734 kg/m³. The value obtained for the formation energy is -1.50 eV per atom. As for the volume: 39.132 Å³ per atom.

Unit cell a=11.611 b=11.611 c=11.611 alpha=90.00 beta=90.00 gamma=90.00
Space group Fm-3m (No. 225)
Inequivalent atoms, fractional coordinates:
Rb1 0.250 0.250 0.250 [8 per cell]
In1 0.000 0.000 0.000 [4 per cell]
In2 0.000 0.000 0.500 [4 per cell]
Br1 0.000 0.000 0.236 [24 per cell]


Record 11
Material: CsScO2
Method: DFT, PBE-GGA
State: optimized geometry

The density is 3704 kg/m³. The value obtained for the formation energy is -2.98 eV per atom. As for the volume: 23.518 Å³ per atom.

Unit cell a=9.096 b=9.096 c=9.096 alpha=90.00 beta=90.00 gamma=90.00
Space group Fd-3m (No. 227, origin choice 2)
Inequivalent atoms, fractional coordinates:
Cs1 0.125 0.125 0.125 [8 per cell]
Sc1 0.125 0.125 0.625 [8 per cell]
O1 0.000 0.000 0.500 [16 per cell]


Record 12
Material: ZrTiB4
Method: DFT, PBE-GGA
State: optimized geometry

The density is 5333 kg/m³. The value obtained for the formation energy is -1.00 eV per atom. As for the volume: 9.462 Å³ per atom.

Unit cell a=3.1073 b=3.1073 c=6.7898 alpha=90.00 beta=90.00 gamma=120.00
Space group P6/mmm (No. 191)
Inequivalent atoms, fractional coordinates:
Zr1 0.0000 0.0000 0.0000 [1 per cell]
Ti1 0.0000 0.0000 0.5000 [1 per cell]
B1 0.3333 0.6667 0.2670 [4 per cell]